P:
# MgFe2Ni4O8

A relaxed structure of MgFe2Ni4O8 (PBE+U, the Materials Project database).

Properties
* size of the total moment: 18.0 Bohr magnetons per cell

Lattice parameters (Å, degrees): 6.249 6.250 6.250 60.00 60.00 59.99
Fractional positions:
O 0.746 0.746 0.262
O 0.252 0.744 0.252
Ni 0.944 0.519 0.519
Mg 0.375 0.375 0.375
O 0.252 0.252 0.252
O 0.252 0.252 0.743
Fe 0.125 0.125 0.125
O 0.744 0.252 0.252
Ni 0.519 0.519 0.944
Ni 0.519 0.519 0.519
O 0.746 0.746 0.746
O 0.261 0.746 0.746
O 0.746 0.261 0.746
Fe 0.875 0.875 0.875
Ni 0.519 0.944 0.519

Q:
# MgFe2Ni4O8

A relaxed structure of MgFe2Ni4O8 (PBE+U, the Materials Project database).

Properties
* size of the total moment: 18.0 Bohr magnetons per cell

Lattice parameters (Å, degrees): 6.253 6.254 5.938 61.66 61.66 58.11
Fractional positions:
O 0.715 0.270 0.257
Ni 0.991 0.510 0.500
Ni 0.510 0.991 0.500
O 0.741 0.301 0.729
Mg 0.651 0.651 0.099
Fe 0.102 0.102 0.148
Fe 0.932 0.932 0.818
O 0.232 0.232 0.761
O 0.270 0.715 0.257
Ni 0.447 0.447 0.581
O 0.232 0.232 0.276
O 0.787 0.787 0.210
O 0.301 0.741 0.729
Ni 0.447 0.447 0.025
O 0.787 0.787 0.715

Winner for stability: Q

P:
# V3P2O8

A relaxed structure of V3P2O8 (PBE+U, the Materials Project database).

Properties
* size of the total moment: 36.0 Bohr magnetons per cell

Lattice parameters (Å, degrees): 8.790 9.350 9.709 116.71 92.42 113.47
Fractional positions:
O 0.110 0.381 0.394
V 0.403 0.801 0.324
O 0.751 0.915 0.752
O 0.579 0.740 0.919
O 0.386 0.625 0.613
O 0.222 0.222 0.535
V 0.115 0.189 0.162
P 0.824 0.315 0.068
O 0.868 0.956 0.102
O 0.249 0.085 0.248
V 0.597 0.199 0.676
O 0.227 0.709 0.458
O 0.778 0.778 0.465
P 0.683 0.829 0.096
O 0.309 0.320 0.876
P 0.764 0.936 0.602
O 0.421 0.260 0.081
P 0.725 0.437 0.550
P 0.176 0.685 0.932
O 0.995 0.305 0.084
O 0.674 0.147 0.049
O 0.600 0.944 0.547
O 0.928 0.117 0.654
V 0.070 0.340 0.892
P 0.236 0.064 0.398
V 0.998 0.732 0.465
P 0.275 0.563 0.450
V 0.398 0.476 0.738
V 0.885 0.811 0.838
V 0.481 0.107 0.174
V 0.930 0.660 0.108
P 0.317 0.171 0.904
O 0.691 0.680 0.124
O 0.161 0.507 0.784
O 0.404 0.075 0.786
O 0.400 0.056 0.453
V 0.602 0.524 0.262
V 0.519 0.893 0.826
O 0.839 0.493 0.216
O 0.773 0.291 0.542
O 0.890 0.619 0.606
O 0.190 0.657 0.080
O 0.072 0.883 0.346
O 0.614 0.375 0.387
O 0.326 0.853 0.951
O 0.369 0.534 0.314
O 0.810 0.343 0.920
O 0.631 0.466 0.686
O 0.005 0.695 0.916
V 0.002 0.268 0.535
O 0.132 0.044 0.898
O 0.596 0.925 0.214

Q:
# V3P2O8

A relaxed structure of V3P2O8 (PBE+U, the Materials Project database).

Properties
* size of the total moment: 36.0 Bohr magnetons per cell

Lattice parameters (Å, degrees): 11.619 6.395 8.759 80.60 90.00 90.00
Fractional positions:
V 0.885 0.137 0.930
O 0.433 0.672 0.926
V 0.615 0.637 0.930
V 0.385 0.363 0.070
O 0.031 0.248 0.522
O 0.567 0.328 0.074
P 0.412 0.305 0.397
V 0.086 0.331 0.277
O 0.372 0.139 0.298
O 0.079 0.008 0.272
V 0.690 0.383 0.361
O 0.939 0.409 0.132
O 0.819 0.166 0.481
P 0.867 0.613 0.090
O 0.439 0.091 0.868
O 0.220 0.372 0.776
V 0.310 0.617 0.639
P 0.912 0.195 0.603
O 0.421 0.508 0.272
O 0.469 0.748 0.522
O 0.872 0.361 0.702
O 0.720 0.128 0.224
O 0.681 0.666 0.481
O 0.280 0.872 0.776
O 0.628 0.861 0.702
P 0.633 0.113 0.090
V 0.586 0.169 0.723
O 0.531 0.252 0.478
P 0.588 0.695 0.603
O 0.780 0.628 0.224
O 0.699 0.104 0.935
O 0.319 0.334 0.519
O 0.921 0.992 0.728
V 0.414 0.831 0.277
O 0.061 0.591 0.868
O 0.128 0.639 0.298
O 0.969 0.752 0.478
P 0.367 0.887 0.910
V 0.810 0.883 0.361
V 0.914 0.669 0.723
O 0.801 0.604 0.935
O 0.067 0.172 0.926
P 0.133 0.387 0.910
V 0.190 0.117 0.639
O 0.561 0.909 0.132
P 0.088 0.805 0.397
O 0.301 0.896 0.065
O 0.933 0.828 0.074
O 0.199 0.396 0.065
O 0.579 0.492 0.728
V 0.115 0.863 0.070
O 0.181 0.834 0.519

Winner for stability: P

P:
# NaLi2FePCO7

A relaxed structure of NaLi2FePCO7 (PBE+U, the Materials Project database).

Properties
* size of the total moment: 0.0 Bohr magnetons per cell

Lattice parameters (Å, degrees): 5.106 8.605 6.618 89.99 89.97 84.61
Fractional positions:
Na 0.734 0.739 0.507
O 0.161 0.431 0.729
Na 0.266 0.261 0.007
O 0.154 0.689 0.928
O 0.388 0.097 0.279
Li 0.217 0.897 0.762
Fe 0.789 0.337 0.742
O 0.839 0.570 0.229
O 0.421 0.437 0.273
Li 0.268 0.278 0.479
O 0.846 0.311 0.428
C 0.311 0.959 0.257
O 0.611 0.903 0.779
Li 0.783 0.103 0.262
O 0.580 0.563 0.773
P 0.275 0.590 0.746
C 0.689 0.041 0.757
P 0.725 0.410 0.246
O 0.485 0.839 0.230
Li 0.732 0.721 0.978
Fe 0.211 0.663 0.242
O 0.936 0.066 0.759
O 0.064 0.934 0.259
O 0.208 0.697 0.560
O 0.792 0.303 0.060
O 0.515 0.161 0.730

Q:
# NaLi2FePCO7

A relaxed structure of NaLi2FePCO7 (PBE+U, the Materials Project database).

Properties
* size of the total moment: 16.0 Bohr magnetons per cell

Lattice parameters (Å, degrees): 6.591 8.629 10.140 92.42 90.02 90.70
Fractional positions:
O 0.430 0.325 0.588
C 0.258 0.949 0.353
O 0.056 0.314 0.613
Li 0.982 0.727 0.621
C 0.747 0.039 0.137
O 0.272 0.433 0.800
O 0.730 0.428 0.913
O 0.433 0.309 0.092
O 0.566 0.698 0.895
O 0.255 0.574 0.092
O 0.273 0.427 0.302
Fe 0.746 0.345 0.109
P 0.255 0.410 0.148
O 0.751 0.087 0.517
Li 0.984 0.732 0.120
O 0.254 0.891 0.469
Na 0.503 0.744 0.627
C 0.756 0.045 0.639
Li 0.264 0.079 0.125
Fe 0.251 0.656 0.896
O 0.783 0.902 0.669
Li 0.481 0.274 0.378
Li 0.481 0.275 0.882
O 0.229 0.579 0.590
P 0.750 0.592 0.857
Na 0.256 0.084 0.621
O 0.277 0.097 0.338
Li 0.749 0.910 0.879
Na 0.000 0.256 0.373
P 0.247 0.417 0.647
O 0.732 0.429 0.408
Li 0.744 0.913 0.372
O 0.755 0.574 0.196
O 0.937 0.685 0.914
O 0.242 0.855 0.249
O 0.768 0.574 0.704
O 0.733 0.151 0.735
O 0.740 0.141 0.236
O 0.932 0.687 0.403
O 0.753 0.086 0.017
Na 0.000 0.258 0.875
O 0.244 0.858 0.766
O 0.748 0.892 0.162
Fe 0.246 0.652 0.388
O 0.277 0.103 0.851
C 0.258 0.956 0.868
Fe 0.743 0.351 0.607
Li 0.511 0.733 0.121
O 0.060 0.314 0.111
O 0.253 0.903 0.986
P 0.745 0.592 0.350
O 0.561 0.696 0.390

Winner for stability: P

P:
# Na4V2C4SO16

A relaxed structure of Na4V2C4SO16 (PBE+U, the Materials Project database).

Properties
* size of the total moment: 8.0 Bohr magnetons per cell

Lattice parameters (Å, degrees): 9.968 9.894 9.892 60.50 59.76 59.74
Fractional positions:
C 0.843 0.482 0.834
O 0.438 0.267 0.772
O 0.815 0.062 0.062
O 0.274 0.530 0.760
O 0.807 0.979 0.481
O 0.733 0.481 0.979
O 0.800 0.732 0.988
C 0.764 0.410 0.413
O 0.269 0.763 0.439
O 0.061 0.062 0.062
O 0.192 0.186 0.186
V 0.626 0.622 0.125
O 0.723 0.986 0.814
C 0.413 0.413 0.764
Na 0.214 0.214 0.786
O 0.979 0.807 0.733
C 0.413 0.413 0.410
O 0.529 0.439 0.763
Na 0.786 0.214 0.214
Na 0.788 0.212 0.788
O 0.732 0.800 0.480
C 0.840 0.834 0.482
O 0.523 0.772 0.267
Na 0.214 0.786 0.786
O 0.267 0.438 0.523
C 0.410 0.764 0.413
Na 0.455 0.045 0.045
O 0.760 0.436 0.274
C 0.482 0.843 0.840
Na 0.212 0.788 0.212
O 0.772 0.523 0.438
C 0.834 0.840 0.843
O 0.476 0.814 0.986
O 0.763 0.269 0.529
O 0.439 0.529 0.269
O 0.186 0.192 0.435
V 0.125 0.627 0.626
O 0.988 0.480 0.800
O 0.986 0.723 0.476
V 0.622 0.626 0.627
O 0.481 0.733 0.807
Na 0.045 0.455 0.455
O 0.530 0.274 0.436
V 0.627 0.125 0.622
S 0.000 0.000 0.000
O 0.435 0.186 0.186
O 0.186 0.435 0.192
O 0.062 0.061 0.815
O 0.436 0.760 0.530
Na 0.786 0.786 0.214
O 0.814 0.476 0.723
O 0.480 0.988 0.732
S 0.250 0.250 0.250
O 0.062 0.815 0.061

Q:
# Na4V2C4SO16

A relaxed structure of Na4V2C4SO16 (PBE+U, the Materials Project database).

Properties
* size of the total moment: 8.0 Bohr magnetons per cell

Lattice parameters (Å, degrees): 10.010 9.989 9.806 60.74 60.54 58.72
Fractional positions:
O 0.308 0.218 0.485
O 0.481 0.301 0.237
O 0.301 0.481 0.981
Na 0.959 0.541 0.959
Na 0.291 0.709 0.709
C 0.347 0.985 0.336
O 0.032 0.942 0.261
Na 0.541 0.959 0.959
V 0.625 0.125 0.125
V 0.125 0.125 0.125
V 0.125 0.625 0.125
O 0.272 0.930 0.771
O 0.682 0.935 0.692
O 0.765 0.261 0.942
O 0.771 0.027 0.272
S 0.750 0.750 0.750
O 0.485 0.989 0.308
O 0.930 0.272 0.027
O 0.223 0.479 0.320
C 0.985 0.347 0.333
O 0.479 0.223 0.978
O 0.769 0.949 0.013
C 0.265 0.903 0.917
O 0.269 0.013 0.949
O 0.692 0.691 0.682
O 0.261 0.765 0.032
O 0.559 0.558 0.315
Na 0.959 0.541 0.541
O 0.942 0.032 0.765
S 0.500 0.500 0.500
V 0.125 0.125 0.625
O 0.558 0.559 0.568
C 0.917 0.914 0.265
C 0.333 0.336 0.985
Na 0.291 0.709 0.291
C 0.903 0.265 0.914
O 0.949 0.769 0.269
O 0.320 0.978 0.223
C 0.914 0.917 0.903
Na 0.541 0.959 0.541
C 0.336 0.333 0.347
O 0.013 0.269 0.769
O 0.218 0.308 0.989
O 0.981 0.237 0.301
O 0.978 0.320 0.479
O 0.568 0.315 0.558
Na 0.709 0.291 0.291
O 0.935 0.682 0.691
O 0.027 0.771 0.930
O 0.315 0.568 0.559
O 0.237 0.981 0.481
O 0.691 0.692 0.935
O 0.989 0.485 0.218
Na 0.709 0.291 0.709

Winner for stability: Q